No. 1
LaGe3Rh (PBE-GGA, relaxed); calculated formation energy = -0.762 eV per atom; crystal system = tetragonal
1.0
-2.230 2.230 5.100
2.230 -2.230 5.100
2.230 2.230 -5.100
Ge Rh La
3 1 1
direct
0.842 0.342 0.500 Ge
0.342 0.842 0.500 Ge
0.001 0.001 0.000 Ge
0.239 0.239 0.000 Rh
0.579 0.579 0.000 La



No. 2
La2Ge5Ru3 (PBE-GGA, relaxed); calculated formation energy = -0.659 eV per atom; crystal system = orthorhombic
1.0
-2.976 5.033 6.307
2.976 -5.033 6.307
2.976 5.033 -6.307
Ru La Ge
6 4 10
direct
0.239 0.145 0.094 Ru
0.761 0.855 0.906 Ru
0.500 0.250 0.750 Ru
0.500 0.750 0.250 Ru
0.051 0.645 0.406 Ru
0.949 0.355 0.594 Ru
0.633 0.364 0.268 La
0.096 0.864 0.232 La
0.367 0.636 0.732 La
0.904 0.136 0.768 La
0.712 0.962 0.250 Ge
0.760 0.592 0.168 Ge
0.240 0.408 0.832 Ge
0.000 0.250 0.250 Ge
0.288 0.538 0.250 Ge
0.576 0.908 0.668 Ge
0.000 0.750 0.750 Ge
0.288 0.038 0.750 Ge
0.712 0.462 0.750 Ge
0.424 0.092 0.332 Ge



No. 3
La15Ge9Ru (PBE-GGA, relaxed); calculated formation energy = -0.673 eV per atom; crystal system = hexagonal
1.0
0.000 0.000 -7.077
-7.835 -13.570 0.000
-7.835 13.570 0.000
La Ru Ge
30 2 18
direct
0.229 0.583 0.167 La
0.262 0.251 0.749 La
0.262 0.251 0.501 La
0.204 0.918 0.835 La
0.483 0.982 0.325 La
0.229 0.833 0.417 La
0.483 0.675 0.657 La
0.762 0.749 0.499 La
0.704 0.835 0.918 La
0.483 0.982 0.657 La
0.729 0.417 0.583 La
0.483 0.343 0.018 La
0.229 0.583 0.417 La
0.704 0.082 0.165 La
0.762 0.501 0.251 La
0.983 0.325 0.343 La
0.729 0.167 0.583 La
0.983 0.325 0.982 La
0.729 0.417 0.833 La
0.983 0.018 0.343 La
0.704 0.082 0.918 La
0.983 0.657 0.675 La
0.483 0.343 0.325 La
0.483 0.675 0.018 La
0.983 0.657 0.982 La
0.204 0.918 0.082 La
0.762 0.749 0.251 La
0.983 0.018 0.675 La
0.204 0.165 0.082 La
0.262 0.499 0.749 La
0.497 0.333 0.667 Ru
0.997 0.667 0.333 Ru
0.196 0.802 0.198 Ge
0.260 0.738 0.869 Ge
0.260 0.131 0.869 Ge
0.696 0.198 0.396 Ge
0.760 0.262 0.131 Ge
0.242 0.467 0.533 Ge
0.696 0.604 0.802 Ge
0.196 0.802 0.604 Ge
0.742 0.935 0.467 Ge
0.760 0.869 0.131 Ge
0.760 0.869 0.738 Ge
0.742 0.533 0.467 Ge
0.742 0.533 0.065 Ge
0.196 0.396 0.198 Ge
0.696 0.198 0.802 Ge
0.242 0.065 0.533 Ge
0.242 0.467 0.935 Ge
0.260 0.131 0.262 Ge



No. 4
LaGe2Ru2 (PBE-GGA, relaxed); calculated formation energy = -0.687 eV per atom; crystal system = tetragonal
1.0
5.769 -0.327 -1.400
2.910 5.077 -1.052
-3.608 -2.179 4.193
Ru Ge La
2 2 1
direct
0.750 0.250 0.500 Ru
0.250 0.750 0.500 Ru
0.635 0.635 0.000 Ge
0.365 0.365 0.000 Ge
0.000 0.000 0.000 La



Total DFT energy (no corrections) for the records above, in order: -5.996; -6.740; -5.670; -7.233 eV/atom